(1)
Computed, not measured: Si after structural relaxation at the meta-GGA r2SCAN level of DFT.

abc: 5.4437 5.4437 5.4437
angles: 90.00 90.00 90.00
Space group Fd-3m (No. 227, origin choice 2)
Symmetry-distinct sites (fractional):
1 Si 0.1250 0.1250 0.1250 [8 per cell]

Output
V in Å³/cell: 161
E above lowest polymorph in eV/atom: 0.000

***

(2)
Computed, not measured: DyNiGe after structural relaxation at the meta-GGA r2SCAN level of DFT.

abc: 6.8976 4.2023 7.2215
angles: 90.00 90.00 90.00
Space group Pnma (No. 62)
Symmetry-distinct sites (fractional):
1 Dy 0.0085 0.2500 0.2074 [4 per cell]
2 Ni 0.1915 0.7500 0.4186 [4 per cell]
3 Ge 0.1980 0.2500 0.5883 [4 per cell]

Output
V in Å³/cell: 209
Final energy in eV/atom: -20.124

***

(3)
Computed, not measured: SmInNi after structural relaxation at the meta-GGA r2SCAN level of DFT.

abc: 7.4980 7.4980 3.8426
angles: 90.00 90.00 120.00
Space group P-62m (No. 189)
Symmetry-distinct sites (fractional):
1 Sm 0.0000 0.4145 0.0000 [3 per cell]
2 In 0.0000 0.7504 0.5000 [3 per cell]
3 Ni 0.0000 0.0000 0.0000 [1 per cell]
4 Ni 0.3333 0.6667 0.5000 [2 per cell]

Output
V in Å³/cell: 187
Final energy in eV/atom: -21.954

***

(4)
Computed, not measured: Er2ZnIr after structural relaxation at the meta-GGA r2SCAN level of DFT.

abc: 6.8497 6.8497 6.8497
angles: 90.00 90.00 90.00
Space group Fm-3m (No. 225)
Symmetry-distinct sites (fractional):
1 Er 0.2500 0.2500 0.2500 [8 per cell]
2 Zn 0.0000 0.0000 0.0000 [4 per cell]
3 Ir 0.0000 0.0000 0.5000 [4 per cell]

Output
V in Å³/cell: 321
Final energy in eV/atom: -33.030

***

(5)
Computed, not measured: K3NaRu2O8 after structural relaxation at the meta-GGA r2SCAN level of DFT.

abc: 10.2193 5.9450 15.1474
angles: 90.00 91.50 90.00
Space group C2/c (No. 15)
Symmetry-distinct sites (fractional):
1 K 0.0000 0.0675 0.2500 [4 per cell]
2 K 0.1717 0.4695 0.9194 [8 per cell]
3 Na 0.0000 0.0000 0.0000 [4 per cell]
4 Ru 0.1643 0.4743 0.6429 [8 per cell]
5 O 0.0690 0.2299 0.6228 [8 per cell]
6 O 0.0816 0.3062 0.0823 [8 per cell]
7 O 0.1808 0.4328 0.2528 [8 per cell]
8 O 0.1846 0.0448 0.4127 [8 per cell]

Output
V in Å³/cell: 920
Final energy in eV/atom: -10.078

***

(6)
Computed, not measured: AcClO after structural relaxation at the meta-GGA r2SCAN level of DFT.

abc: 4.2592 4.2592 7.1227
angles: 90.00 90.00 90.00
Space group P4/nmm (No. 129, origin choice 2)
Symmetry-distinct sites (fractional):
1 Ac 0.2500 0.2500 0.1775 [2 per cell]
2 Cl 0.2500 0.2500 0.6317 [2 per cell]
3 O 0.2500 0.7500 0.0000 [2 per cell]

Output
V in Å³/cell: 129
Final energy in eV/atom: -30.408

***

(7)
Computed, not measured: MnH7C3NO6 after structural relaxation at the meta-GGA r2SCAN level of DFT.

abc: 12.5158 12.5158 8.6241
angles: 90.00 90.00 120.00
Space group P6_3 (No. 173)
Symmetry-distinct sites (fractional):
1 Mn 0.0075 0.3365 0.0000 [6 per cell]
2 H 0.0000 0.0000 0.4413 [2 per cell]
3 H 0.0292 0.0892 0.0973 [6 per cell]
4 H 0.0503 0.4953 0.6991 [6 per cell]
5 H 0.1195 0.2785 0.7102 [6 per cell]
6 H 0.1564 0.3813 0.3094 [6 per cell]
7 H 0.2448 0.6417 0.4030 [6 per cell]
8 H 0.2751 0.5769 0.9074 [6 per cell]
9 H 0.3333 0.6667 0.0634 [2 per cell]
10 H 0.3333 0.6667 0.5592 [2 per cell]
11 C 0.0464 0.5351 0.2278 [6 per cell]
12 C 0.1326 0.2866 0.2783 [6 per cell]
13 C 0.1867 0.3761 0.7335 [6 per cell]
14 N 0.0000 0.0000 0.0592 [2 per cell]
15 N 0.3333 0.6667 0.4412 [2 per cell]
16 N 0.3333 0.6667 0.9455 [2 per cell]
17 O 0.0624 0.8332 0.3664 [6 per cell]
18 O 0.0723 0.2431 0.1537 [6 per cell]
19 O 0.0906 0.6005 0.3487 [6 per cell]
20 O 0.1052 0.5020 0.1406 [6 per cell]
21 O 0.1571 0.7241 0.6419 [6 per cell]
22 O 0.1679 0.4235 0.8530 [6 per cell]

Output
V in Å³/cell: 1170
Final energy in eV/atom: -7.269

***

(8)
Computed, not measured: NdMg2Ni9 after structural relaxation at the meta-GGA r2SCAN level of DFT.

abc: 4.8498 4.8498 23.4216
angles: 90.00 90.00 120.00
Space group R-3m (No. 166, hexagonal axes)
Symmetry-distinct sites (fractional):
1 Nd 0.0000 0.0000 0.0000 [3 per cell]
2 Mg 0.0000 0.0000 0.1444 [6 per cell]
3 Ni 0.0000 0.0000 0.3337 [6 per cell]
4 Ni 0.0000 0.0000 0.5000 [3 per cell]
5 Ni 0.0026 0.5013 0.9152 [18 per cell]

Output
V in Å³/cell: 477
Final energy in eV/atom: -12.335